Entry 1:
VASP calculation (PBE) on crystalline BiTeO4 at its relaxed geometry.

Cell lengths 7.0508, 7.0508, 10.4425 Å; angles 66.97, 66.97, 47.31 degrees
Closest atoms and distances in Å follow each position.
Element x y z (fractional)
1 Bi 0.0297 0.9703 0.5000  6 O 2.34-2.62
2 Bi 0.9520 0.0480 0.0000  8 O 2.41-2.52
3 Bi 0.6841 0.7689 0.8996  5 O 2.23-2.42
4 Bi 0.2311 0.3159 0.1004  5 O 2.23-2.42
5 Te 0.5051 0.4989 0.7494  6 O 1.95-2.03
6 Te 0.5011 0.4949 0.2506  6 O 1.95-2.03
7 Te 0.3514 0.1908 0.6322  3 O 1.92-2.03
8 Te 0.8092 0.6486 0.3678  3 O 1.92-2.03
9 O 0.7889 0.3597 0.5880  1 Te 1.95
10 O 0.6403 0.2111 0.4120  1 Te 1.95
11 O 0.2042 0.6411 0.9056  1 Te 1.96
12 O 0.3589 0.7958 0.0944  1 Te 1.96
13 O 0.7265 0.4778 0.8315  1 Te 1.96
14 O 0.5222 0.2735 0.1685  1 Te 1.96
15 O 0.2906 0.4928 0.6684  2 Te 2.03
16 O 0.5072 0.7094 0.3316  2 Te 2.03
17 O 0.9113 0.7159 0.1586  1 Te 1.98
18 O 0.2841 0.0887 0.8414  1 Te 1.98
19 O 0.0779 0.2875 0.3456  1 Te 1.92
20 O 0.7125 0.9221 0.6544  1 Te 1.92
21 O 0.1473 0.6509 0.3628  1 Te 1.95
22 O 0.3491 0.8527 0.6372  1 Te 1.95
23 O 0.8492 0.3543 0.1285  1 Te 1.97
24 O 0.6457 0.1508 0.8715  1 Te 1.97

Summary:
Offset from the most stable computed form = 0.10 kcal/mol of atoms
Uncorrected energy = -134.9 eV/cell
Calculated formation energy = -1.609 eV/atom



Entry 2:
VASP calculation (PBE) on crystalline Gd5Si2BO13 at its relaxed geometry.

Cell lengths 6.9221, 9.3486, 9.3789 Å; angles 60.23, 90.00, 90.00 degrees
Closest atoms and distances in Å follow each position.
Element x y z (fractional)
1 Gd 0.5000 0.9854 0.7746  6 O 2.24-2.39
2 Gd 0.5000 0.2414 0.0074  6 O 2.26-2.47
3 Gd 0.5000 0.7520 0.2262  4 O 2.22-2.45
4 Gd 0.0000 0.9774 0.2444  4 O 2.21-2.48
5 Gd 0.0000 0.7591 0.0077  6 O 2.23-2.44
6 Gd 0.0000 0.2456 0.7571  6 O 2.26-2.44
7 Gd 0.7506 0.3531 0.3255  7 O 2.35-2.59
8 Gd 0.2509 0.6642 0.6702  6 O 2.36-2.45
9 Gd 0.7491 0.6642 0.6702  6 O 2.36-2.45
10 Gd 0.2494 0.3531 0.3255  7 O 2.35-2.59
11 Si 0.5000 0.4020 0.6290  4 O 1.62-1.64
12 Si 0.5000 0.9726 0.3977  4 O 1.63-1.65
13 Si 0.0000 0.3655 0.0312  4 O 1.63-1.64
14 Si 0.0000 0.0326 0.5959  4 O 1.64-1.65
15 B 0.5000 0.6299 0.9674  4 O 1.50-1.52
16 B 0.0000 0.5974 0.3739  4 O 1.47-1.53
17 O 0.6777 0.7391 0.9143  1 B 1.52
18 O 0.6883 0.3454 0.7510  1 Si 1.64
19 O 0.6892 0.9066 0.3426  1 Si 1.64
20 O 0.1902 0.2476 0.0931  1 Si 1.63
21 O 0.1768 0.6507 0.2608  1 B 1.53
22 O 0.1900 0.0931 0.6575  1 Si 1.65
23 O 0.8098 0.2476 0.0931  1 Si 1.63
24 O 0.8232 0.6507 0.2608  1 B 1.53
25 O 0.8100 0.0931 0.6575  1 Si 1.65
26 O 0.3223 0.7391 0.9143  1 B 1.52
27 O 0.3117 0.3454 0.7510  1 Si 1.64
28 O 0.3108 0.9066 0.3426  1 Si 1.64
29 O 0.5000 0.5208 0.1503  1 B 1.50
30 O 0.5000 0.3275 0.5055  1 Si 1.62
31 O 0.5000 0.1722 0.3204  1 Si 1.63
32 O 0.0000 0.4880 0.8324  1 Si 1.63
33 O 0.0000 0.6679 0.4840  1 B 1.47
34 O 0.0000 0.8324 0.6747  1 Si 1.64
35 O 0.5000 0.5356 0.8754  1 B 1.51
36 O 0.5000 0.6040 0.5270  1 Si 1.64
37 O 0.5000 0.8702 0.6000  1 Si 1.65
38 O 0.0000 0.4717 0.1275  1 Si 1.64
39 O 0.0000 0.4117 0.4642  1 B 1.51
40 O 0.0000 0.1330 0.3944  1 Si 1.64
41 O 0.5000 0.0012 0.0051  3 Gd 2.22-2.26
42 O 0.0000 0.0034 0.9966  3 Gd 2.21-2.26

Summary:
Uncorrected energy = -440.6 eV/cell
Calculated formation energy = -3.666 eV/atom



Entry 3:
VASP calculation (PBE) on crystalline PuUSn6 at its relaxed geometry.

Cell lengths 4.6156, 4.6156, 9.2464 Å; angles 90.00, 90.00, 90.00 degrees
Closest atoms and distances in Å follow each position.
Element x y z (fractional)
1 Pu 0.0000 0.0000 0.0000  12 Sn 3.26
2 U 0.0000 0.0000 0.5000  12 Sn 3.26-3.28
3 Sn 0.5000 0.5000 0.0000  8 Sn 3.26, 4 Pu 3.26
4 Sn 0.5000 0.5000 0.5000  4 U 3.26, 8 Sn 3.28
5 Sn 0.5000 0.0000 0.2484  8 Sn 3.26-3.28, 2 Pu 3.26, 2 U 3.28
6 Sn 0.5000 0.0000 0.7516  8 Sn 3.26-3.28, 2 Pu 3.26, 2 U 3.28
7 Sn 0.0000 0.5000 0.2484  8 Sn 3.26-3.28, 2 Pu 3.26, 2 U 3.28
8 Sn 0.0000 0.5000 0.7516  8 Sn 3.26-3.28, 2 Pu 3.26, 2 U 3.28

Summary:
Uncorrected energy = -49.6 eV/cell
Calculated formation energy = 0.000 eV/atom



Entry 4:
VASP calculation (PBE) on crystalline Zn3Sn3As4O16 at its relaxed geometry.

Cell lengths 5.4577, 9.4237, 17.4044 Å; angles 60.92, 90.00, 90.00 degrees
Closest atoms and distances in Å follow each position.
Element x y z (fractional)
1 Zn 0.0108 0.1811 0.7576  4 O 1.96-2.08
2 Zn 0.5108 0.8189 0.7424  4 O 1.96-2.08
3 Zn 0.9892 0.8189 0.2424  4 O 1.96-2.08
4 Zn 0.4892 0.1811 0.2576  4 O 1.96-2.08
5 Zn 0.0000 0.0000 0.0000  4 O 1.94-2.14
6 Zn 0.5000 0.0000 0.5000  4 O 1.94-2.14
7 Sn 0.9345 0.5520 0.1386  3 O 2.24-2.41
8 Sn 0.0655 0.4480 0.8614  3 O 2.24-2.41
9 Sn 0.4345 0.4480 0.3614  3 O 2.24-2.41
10 Sn 0.5655 0.5520 0.6386  3 O 2.24-2.41
11 Sn 0.5000 0.5000 0.0000  6 O 2.37-2.63
12 Sn 0.0000 0.5000 0.5000  6 O 2.37-2.63
13 As 0.5345 0.2381 0.8619  4 O 1.67-1.77
14 As 0.9516 0.7851 0.8855  4 O 1.69-1.76
15 As 0.4516 0.2149 0.6145  4 O 1.69-1.76
16 As 0.5484 0.7851 0.3855  4 O 1.69-1.76
17 As 0.4655 0.7619 0.1381  4 O 1.67-1.77
18 As 0.0484 0.2149 0.1145  4 O 1.69-1.76
19 As 0.9655 0.2381 0.3619  4 O 1.67-1.77
20 As 0.0345 0.7619 0.6381  4 O 1.67-1.77
21 O 0.2121 0.6900 0.7347  1 As 1.77
22 O 0.4364 0.2053 0.5184  1 As 1.72
23 O 0.0567 0.9504 0.7948  1 As 1.69
24 O 0.9721 0.6006 0.6167  1 As 1.76
25 O 0.9433 0.0496 0.2052  1 As 1.69
26 O 0.2879 0.6900 0.2347  1 As 1.77
27 O 0.5567 0.0496 0.7052  1 As 1.69
28 O 0.8261 0.7198 0.3625  1 As 1.75
29 O 0.8085 0.0801 0.4387  1 As 1.67
30 O 0.7879 0.3100 0.2653  1 As 1.77
31 O 0.5279 0.6006 0.1167  1 As 1.76
32 O 0.1739 0.2802 0.6375  1 As 1.75
33 O 0.1479 0.6189 0.9129  1 As 1.76
34 O 0.1915 0.9199 0.5613  1 As 1.67
35 O 0.7664 0.8056 0.1519  1 As 1.74
36 O 0.2664 0.1944 0.3481  1 As 1.74
37 O 0.6479 0.3811 0.5871  1 As 1.76
38 O 0.4433 0.9504 0.2948  1 As 1.69
39 O 0.3085 0.9199 0.0613  1 As 1.67
40 O 0.3261 0.2802 0.1375  1 As 1.75
41 O 0.7336 0.8056 0.6519  1 As 1.74
42 O 0.2336 0.1944 0.8481  1 As 1.74
43 O 0.5636 0.7947 0.4816  1 As 1.72
44 O 0.9364 0.7947 0.9816  1 As 1.72
45 O 0.8521 0.3811 0.0871  1 As 1.76
46 O 0.7121 0.3100 0.7653  1 As 1.77
47 O 0.0279 0.3994 0.3833  1 As 1.76
48 O 0.6915 0.0801 0.9387  1 As 1.67
49 O 0.0636 0.2053 0.0184  1 As 1.72
50 O 0.6739 0.7198 0.8625  1 As 1.75
51 O 0.3521 0.6189 0.4129  1 As 1.76
52 O 0.4721 0.3994 0.8833  1 As 1.76

Summary:
Uncorrected energy = -292.2 eV/cell
Calculated formation energy = -1.672 eV/atom



Entry 5:
VASP calculation (PBE) on crystalline MgRhF6 at its relaxed geometry.

Cell lengths 5.4539, 5.4539, 5.4539 Å; angles 56.53, 56.53, 56.53 degrees
Closest atoms and distances in Å follow each position.
Element x y z (fractional)
1 Mg 0.5000 0.5000 0.5000  6 F 2.01
2 Rh 0.0000 0.0000 0.0000  6 F 1.95
3 F 0.1231 0.3674 0.7571  1 Rh 1.95, 1 Mg 2.01
4 F 0.7571 0.1231 0.3674  1 Rh 1.95, 1 Mg 2.01
5 F 0.6326 0.2429 0.8769  1 Rh 1.95, 1 Mg 2.01
6 F 0.2429 0.8769 0.6326  1 Rh 1.95, 1 Mg 2.01
7 F 0.8769 0.6326 0.2429  1 Rh 1.95, 1 Mg 2.01
8 F 0.3674 0.7571 0.1231  1 Rh 1.95, 1 Mg 2.01

Summary:
Uncorrected energy = -38.2 eV/cell
Calculated formation energy = -2.567 eV/atom



Entry 6:
VASP calculation (PBE) on crystalline SnSe at its relaxed geometry.

Cell lengths 4.2194, 4.5240, 11.7898 Å; angles 90.00, 90.00, 90.00 degrees
Closest atoms and distances in Å follow each position.
Element x y z (fractional)
1 Sn 0.2500 0.4003 0.6219  3 Se 2.78-2.84
2 Sn 0.7500 0.5997 0.3781  3 Se 2.78-2.84
3 Sn 0.7500 0.9003 0.8781  3 Se 2.78-2.84
4 Sn 0.2500 0.0997 0.1219  3 Se 2.78-2.84
5 Se 0.2500 0.0144 0.3551  3 Sn 2.78-2.84
6 Se 0.7500 0.9856 0.6449  3 Sn 2.78-2.84
7 Se 0.7500 0.5144 0.1449  3 Sn 2.78-2.84
8 Se 0.2500 0.4856 0.8551  3 Sn 2.78-2.84

Summary:
Uncorrected energy = -33.5 eV/cell
Calculated formation energy = -0.669 eV/atom